A plane-wave DFT calculation with PBE was carried out for Nb3InP6O24 after structural relaxation.

Values from the calculation:
SG: P3
Crystal system: trigonal
Calculated total energy (eV/cell): -788.282
Total magnetization (μB/f.u.): 0.0
DFT formation energy (eV per atom): -2.7930

a b c (Å): 8.8416 8.8416 22.8141
angles (deg): 90.00 90.00 120.00
With the nearest neighbours (Å) after each atom.
Sites, in units of the cell vectors:
O 0.3036 0.8370 0.9708  1 P 1.54
O 0.5294 0.6986 0.2590  1 P 1.58
O 0.1342 0.4972 0.8621  1 P 1.54
O 0.3677 0.5007 0.3624  1 P 1.55
O 0.3512 0.8603 0.5708  1 P 1.55
O 0.8005 0.8330 0.1952  1 P 1.61
O 0.0326 0.1995 0.1952  1 P 1.61
O 0.6928 0.1574 0.7454  1 P 1.49
O 0.6327 0.1334 0.4281  1 P 1.58
O 0.9795 0.8090 0.8051  1 P 1.57
O 0.1668 0.7005 0.7615  1 P 1.58
O 0.1670 0.9674 0.1952  1 P 1.61
O 0.2995 0.4663 0.7615  1 P 1.58
O 0.8001 0.9662 0.6958  1 P 1.55
O 0.8294 0.0205 0.8051  1 P 1.57
O 0.1730 0.9745 0.9062  1 P 1.55
O 0.3630 0.8658 0.8621  1 P 1.54
O 0.5250 0.8382 0.4713  1 P 1.56
O 0.8203 0.7911 0.3051  1 P 1.49
O 0.1397 0.4909 0.5708  1 P 1.55
O 0.9771 0.8071 0.0906  1 P 1.54
O 0.5006 0.3673 0.4281  1 P 1.58
O 0.3538 0.4922 0.0694  1 P 1.58
O 0.8853 0.5106 0.1366  1 P 1.49
O 0.1630 0.4666 0.9708  1 P 1.54
O 0.1929 0.1701 0.0906  1 P 1.54
O 0.4682 0.1530 0.2409  1 P 1.49
O 0.4646 0.1629 0.5285  1 P 1.54
O 0.4948 0.1353 0.9270  1 P 1.55
O 0.8015 0.8270 0.9062  1 P 1.55
O 0.3014 0.8308 0.2590  1 P 1.58
O 0.5337 0.8332 0.7615  1 P 1.58
O 0.1660 0.1999 0.6958  1 P 1.55
O 0.6253 0.1147 0.1366  1 P 1.49
O 0.3132 0.4750 0.4713  1 P 1.56
O 0.4894 0.3747 0.1366  1 P 1.49
O 0.1383 0.6462 0.0694  1 P 1.58
O 0.8666 0.4994 0.4281  1 P 1.58
O 0.8378 0.5322 0.0278  1 P 1.58
O 0.5334 0.6964 0.9708  1 P 1.54
O 0.8858 0.3717 0.6384  1 P 1.50
O 0.1692 0.4706 0.2590  1 P 1.58
O 0.8292 0.8051 0.5928  1 P 1.58
O 0.1949 0.0240 0.5928  1 P 1.58
O 0.6944 0.1622 0.0278  1 P 1.58
O 0.8426 0.5355 0.7454  1 P 1.49
O 0.5078 0.8617 0.0694  1 P 1.58
O 0.8647 0.3595 0.9270  1 P 1.55
O 0.6283 0.5141 0.6384  1 P 1.50
O 0.6982 0.5354 0.5285  1 P 1.54
O 0.8470 0.3152 0.2409  1 P 1.49
O 0.5028 0.6370 0.8621  1 P 1.54
O 0.1768 0.2023 0.4124  1 P 1.49
O 0.1910 0.1706 0.8051  1 P 1.57
O 0.0255 0.8232 0.4124  1 P 1.49
O 0.5091 0.6488 0.5708  1 P 1.55
O 0.1330 0.6323 0.3624  1 P 1.55
O 0.9707 0.1797 0.3051  1 P 1.49
O 0.7977 0.9745 0.4124  1 P 1.49
O 0.8299 0.0229 0.0906  1 P 1.54
O 0.4859 0.1142 0.6384  1 P 1.50
O 0.4645 0.3072 0.7454  1 P 1.49
O 0.6848 0.5318 0.2409  1 P 1.49
O 0.1618 0.6868 0.4713  1 P 1.56
O 0.4993 0.8670 0.3624  1 P 1.55
O 0.6405 0.5052 0.9270  1 P 1.55
O 0.2089 0.0293 0.3051  1 P 1.49
O 0.9760 0.1708 0.5928  1 P 1.58
O 0.8371 0.3018 0.5285  1 P 1.54
O 0.4678 0.3056 0.0278  1 P 1.58
O 0.0338 0.8340 0.6958  1 P 1.55
O 0.0255 0.1985 0.9062  1 P 1.55
P 0.9978 0.2873 0.2515  4 O 1.49-1.61
P 0.6699 0.0466 0.0836  4 O 1.49-1.58
P 0.7163 0.0018 0.7496  4 O 1.49-1.58
P 0.9982 0.7146 0.7496  4 O 1.49-1.58
P 0.3767 0.3301 0.0836  4 O 1.49-1.58
P 0.9539 0.3360 0.5828  4 O 1.50-1.58
P 0.2854 0.2837 0.7496  4 O 1.49-1.58
P 0.0484 0.3822 0.9165  4 O 1.54-1.55
P 0.3338 0.9516 0.9165  4 O 1.54-1.55
P 0.6640 0.6180 0.5828  4 O 1.50-1.58
P 0.7127 0.7105 0.2515  4 O 1.49-1.61
P 0.6189 0.9508 0.4162  4 O 1.49-1.58
P 0.3319 0.3811 0.4162  4 O 1.49-1.58
P 0.9534 0.6233 0.0836  4 O 1.49-1.58
P 0.2895 0.0022 0.2515  4 O 1.49-1.61
P 0.0492 0.6681 0.4162  4 O 1.49-1.58
P 0.6178 0.6662 0.9165  4 O 1.54-1.55
P 0.3820 0.0461 0.5828  4 O 1.50-1.58
In 0.6667 0.3333 0.1884  6 O 2.06-2.14
In 0.0000 0.0000 0.3563  6 O 2.09-2.12
In 0.6667 0.3333 0.6879  6 O 2.12-2.13
Nb 0.0000 0.0000 0.6404  6 O 1.96-2.07
Nb 0.3333 0.6667 0.0244  6 O 1.94-2.06
Nb 0.6667 0.3333 0.4744  6 O 1.95-2.07
Nb 0.6667 0.3333 0.9785  6 O 2.00-2.02
Nb 0.0000 0.0000 0.1479  6 O 1.96-2.08
Nb 0.3333 0.6667 0.3074  6 O 1.95-2.07
Nb 0.0000 0.0000 0.8555  6 O 1.98-2.02
Nb 0.3333 0.6667 0.8080  6 O 1.96-2.06
Nb 0.3333 0.6667 0.5211  6 O 1.97-1.99